Record 1
K4Sn21Hg2 after structural relaxation. Source: the Materials Project, functional r²SCAN.

Output
Its energy of formation from the pure elements is -0.17 eV/atom. Its energy is -23.967 eV/atom.

```
data_K4Sn21Hg2
_cell_length_a 12.292
_cell_length_b 17.384
_cell_length_c 17.400
_cell_angle_alpha 90.00
_cell_angle_beta 90.00
_cell_angle_gamma 90.00
_symmetry_space_group_name_H-M 'A m a 2'
_symmetry_Int_Tables_number 40
loop_
_symmetry_equiv_pos_as_xyz
'x,y,z'
'-x,-y,z'
'-x+1/2,y,z'
'x+1/2,-y,z'
'x,y+1/2,z+1/2'
'-x,-y+1/2,z+1/2'
'-x+1/2,y+1/2,z+1/2'
'x+1/2,-y+1/2,z+1/2'
loop_
_atom_site_label
_atom_site_fract_x
_atom_site_fract_y
_atom_site_fract_z
_atom_site_occupancy
K1 0.000 0.000 0.000 1
K2 0.250 0.108 0.651 1
K3 0.250 0.251 0.274 1
K4 0.250 0.374 0.916 1
Sn1 0.057 0.308 0.716 1
Sn2 0.065 0.191 0.834 1
Sn3 0.066 0.249 0.456 1
Sn4 0.067 0.066 0.275 1
Sn5 0.067 0.432 0.274 1
Sn6 0.068 0.249 0.090 1
Sn7 0.132 0.405 0.118 1
Sn8 0.133 0.093 0.431 1
Sn9 0.250 0.038 0.178 1
Sn10 0.250 0.151 0.056 1
Sn11 0.250 0.345 0.485 1
Sn12 0.250 0.375 0.649 1
Sn13 0.250 0.466 0.370 1
Hg1 0.000 0.000 0.525 1
Hg2 0.250 0.124 0.898 1
```

Record 2
GaNi3 after structural relaxation. Source: the Materials Project, functional r²SCAN.

Output
Its energy of formation from the pure elements is -0.26 eV/atom. Its energy is -12.109 eV/atom.

```
data_GaNi3
_cell_length_a 5.0226
_cell_length_b 5.0226
_cell_length_c 4.0619
_cell_angle_alpha 90.00
_cell_angle_beta 90.00
_cell_angle_gamma 120.00
_symmetry_space_group_name_H-M 'P 63/m m c'
_symmetry_Int_Tables_number 194
_symmetry_space_group_name_Hall '-P 6c 2c'
loop_
_atom_site_label
_atom_site_fract_x
_atom_site_fract_y
_atom_site_fract_z
_atom_site_occupancy
Ga1 0.3333 0.6667 0.2500 1
Ni1 0.1642 0.3283 0.7500 1
```

Record 3
PmPrZn2 after structural relaxation. Source: the Materials Project, functional r²SCAN.

Output
Its energy of formation from the pure elements is -0.33 eV/atom. Its energy is -19.523 eV/atom.

```
data_PmPrZn2
_cell_length_a 7.332
_cell_length_b 7.332
_cell_length_c 7.332
_cell_angle_alpha 90.00
_cell_angle_beta 90.00
_cell_angle_gamma 90.00
_symmetry_space_group_name_H-M 'F m -3 m'
_symmetry_Int_Tables_number 225
_symmetry_space_group_name_Hall '-F 4 2 3'
loop_
_atom_site_label
_atom_site_fract_x
_atom_site_fract_y
_atom_site_fract_z
_atom_site_occupancy
Pm1 0.000 0.000 0.000 1
Pr1 0.000 0.000 0.500 1
Zn1 0.250 0.250 0.250 1
```

Record 4
PaAu3 after structural relaxation. Source: the Materials Project, functional r²SCAN.

Output
Its energy of formation from the pure elements is -0.43 eV/atom. Its energy is -57.580 eV/atom.

```
data_PaAu3
_cell_length_a 6.896
_cell_length_b 6.896
_cell_length_c 6.896
_cell_angle_alpha 90.00
_cell_angle_beta 90.00
_cell_angle_gamma 90.00
_symmetry_space_group_name_H-M 'F m -3 m'
_symmetry_Int_Tables_number 225
_symmetry_space_group_name_Hall '-F 4 2 3'
loop_
_atom_site_label
_atom_site_fract_x
_atom_site_fract_y
_atom_site_fract_z
_atom_site_occupancy
Pa1 0.000 0.000 0.000 1
Au1 0.000 0.000 0.500 1
Au2 0.250 0.250 0.250 1
```

Record 5
UB12 after structural relaxation. Source: the Materials Project, functional r²SCAN.

Output
Its energy of formation from the pure elements is -0.28 eV/atom. Its energy is -13.212 eV/atom.

```
data_UB12
_cell_length_a 7.438
_cell_length_b 7.438
_cell_length_c 7.438
_cell_angle_alpha 90.00
_cell_angle_beta 90.00
_cell_angle_gamma 90.00
_symmetry_space_group_name_H-M 'F m -3 m'
_symmetry_Int_Tables_number 225
_symmetry_space_group_name_Hall '-F 4 2 3'
loop_
_atom_site_label
_atom_site_fract_x
_atom_site_fract_y
_atom_site_fract_z
_atom_site_occupancy
U1 0.000 0.000 0.000 1
B1 0.000 0.170 0.330 1
```

Record 6
K2LaI5 after structural relaxation. Source: the Materials Project, functional r²SCAN.

Output
Its energy of formation from the pure elements is -1.76 eV/atom. Its energy is -22.335 eV/atom.

```
data_K2LaI5
_cell_length_a 14.488
_cell_length_b 9.961
_cell_length_c 9.225
_cell_angle_alpha 90.00
_cell_angle_beta 90.00
_cell_angle_gamma 90.00
_symmetry_space_group_name_H-M 'P n m a'
_symmetry_Int_Tables_number 62
loop_
_symmetry_equiv_pos_as_xyz
'x,y,z'
'-x,-y,-z'
'-x+1/2,-y,z+1/2'
'x+1/2,y,-z+1/2'
'x+1/2,-y+1/2,-z+1/2'
'-x+1/2,y+1/2,z+1/2'
'-x,y+1/2,-z'
'x,-y+1/2,z'
loop_
_atom_site_label
_atom_site_fract_x
_atom_site_fract_y
_atom_site_fract_z
_atom_site_occupancy
K1 0.173 0.003 0.054 1
La1 0.006 0.250 0.581 1
I1 0.007 0.250 0.937 1
I2 0.079 0.547 0.670 1
I3 0.184 0.250 0.368 1
I4 0.210 0.750 0.333 1
```

Record 7
Ti3B4Mo after structural relaxation. Source: the Materials Project, functional r²SCAN.

Output
Its energy of formation from the pure elements is -0.87 eV/atom. Its energy is -12.656 eV/atom.

```
data_Ti3B4Mo
_cell_length_a 4.541
_cell_length_b 3.050
_cell_length_c 6.028
_cell_angle_alpha 90.00
_cell_angle_beta 90.39
_cell_angle_gamma 90.00
_symmetry_space_group_name_H-M 'P 1 m 1'
_symmetry_Int_Tables_number 6
loop_
_symmetry_equiv_pos_as_xyz
'x,y,z'
'x,-y,z'
loop_
_atom_site_label
_atom_site_fract_x
_atom_site_fract_y
_atom_site_fract_z
_atom_site_occupancy
Ti1 0.000 0.000 0.000 1
Ti2 0.244 0.500 0.354 1
Ti3 0.504 0.500 0.848 1
B1 0.026 0.500 0.707 1
B2 0.227 0.000 0.647 1
B3 0.524 0.000 0.147 1
B4 0.728 0.500 0.207 1
Mo1 0.749 0.000 0.497 1
```

Record 8
YbTlPd after structural relaxation. Source: the Materials Project, functional r²SCAN.

Output
Its energy of formation from the pure elements is -0.71 eV/atom. Its energy is -38.269 eV/atom.

```
data_YbTlPd
_cell_length_a 7.7243
_cell_length_b 7.7243
_cell_length_c 3.7148
_cell_angle_alpha 90.00
_cell_angle_beta 90.00
_cell_angle_gamma 120.00
_symmetry_space_group_name_H-M 'P -6 2 m'
_symmetry_Int_Tables_number 189
_symmetry_space_group_name_Hall 'P -6 -2'
loop_
_atom_site_label
_atom_site_fract_x
_atom_site_fract_y
_atom_site_fract_z
_atom_site_occupancy
Yb1 0.0000 0.5972 0.0000 1
Tl1 0.0000 0.2692 0.5000 1
Pd1 0.0000 0.0000 0.0000 1
Pd2 0.3333 0.6667 0.5000 1
```

Q: Which value of energy does entry 6 give?
A: -22.335 eV/atom

Q: Which value of energy does entry 3 give?
A: -19.523 eV/atom

Q: Among the records above, which one has the lowest energy of formation from the pure elements?
A: K2LaI5